# 1
Computed, not measured: Ba2H6Pt after structural relaxation at the PBE level of DFT.

Cell lengths 7.8671, 7.8671, 6.0292 Å; angles 90.00, 90.00, 45.07 degrees
Fractional coordinates of all 18 atoms:
Ba1 0.1422 0.1422 0.0000
Ba2 0.3578 0.3578 0.5000
Ba3 0.6422 0.6422 0.5000
Ba4 0.8578 0.8578 0.0000
H1 0.0029 0.4971 0.2500
H2 0.1149 0.1149 0.5000
H3 0.1989 0.8011 0.6952
H4 0.3011 0.6989 0.1952
H5 0.3851 0.3851 0.0000
H6 0.4971 0.0029 0.7500
H7 0.5029 0.9971 0.2500
H8 0.6149 0.6149 0.0000
H9 0.6989 0.3011 0.8048
H10 0.8011 0.1989 0.3048
H11 0.8851 0.8851 0.5000
H12 0.9971 0.5029 0.7500
Pt1 0.0000 0.0000 0.5000
Pt2 0.5000 0.5000 0.0000

Computed properties:
- Energy of formation: -0.5405 eV per atom
- SG: Cmce

# 2
Computed, not measured: NaSn3 after structural relaxation at the PBE level of DFT.

Cell lengths 5.9293, 5.9293, 5.9293 Å; angles 133.20, 133.20, 68.34 degrees
Fractional coordinates of all 4 atoms:
Na1 0.0000 0.0000 0.0000
Sn1 0.2500 0.7500 0.5000
Sn2 0.5000 0.5000 0.0000
Sn3 0.7500 0.2500 0.5000

Computed properties:
- Energy of formation: -0.0895 eV per atom
- SG: I4/mmm

# 3
Computed, not measured: Te4Mo3WSe2S2 after structural relaxation at the PBE level of DFT.

Cell lengths 3.3991, 3.3991, 40.2118 Å; angles 90.00, 90.00, 120.00 degrees
Fractional coordinates of all 12 atoms:
Te1 0.0000 0.0000 0.0000
Te2 0.0000 0.0000 0.0933
Te3 0.3333 0.6667 0.1902
Te4 0.3333 0.6667 0.2834
Mo1 0.0000 0.0000 0.2368
Mo2 0.0000 0.0000 0.8601
Mo3 0.3333 0.6667 0.0466
W1 0.3333 0.6667 0.4243
Se1 0.0000 0.0000 0.3831
Se2 0.0000 0.0000 0.4655
S1 0.3333 0.6667 0.8227
S2 0.3333 0.6667 0.8974

Computed properties:
- M_tot: 0.0001 μB/atom
- Energy of formation: -0.5213 eV per atom
- SG: P3m1
- Relative energy among the computed polymorphs: 0.0152 eV per atom

# 4
Computed, not measured: MgTe2Mo2WSe2S2 after structural relaxation at the PBE level of DFT.

Cell lengths 3.3491, 3.3507, 36.4119 Å; angles 89.80, 89.92, 60.02 degrees
Fractional coordinates of all 10 atoms:
Mg1 0.0000 0.0000 0.0000
Te1 0.3321 0.3391 0.2845
Te2 0.3326 0.3361 0.3892
Mo1 0.3320 0.3397 0.1110
Mo2 0.6655 0.6706 0.8664
W1 0.6655 0.6713 0.3369
Se1 0.3324 0.3357 0.9125
Se2 0.3322 0.3386 0.8208
S1 0.6648 0.6765 0.0685
S2 0.6655 0.6708 0.1523

Computed properties:
- M_tot: 0.0001 μB/atom
- Energy of formation: -0.4975 eV per atom
- SG: P1
- Relative energy among the computed polymorphs: 0.0119 eV per atom

# 5
Computed, not measured: KFeSeS after structural relaxation at the PBE level of DFT.

Cell lengths 6.8625, 6.8625, 5.4844 Å; angles 101.74, 101.74, 116.89 degrees
Fractional coordinates of all 8 atoms:
K1 0.0000 0.0000 0.0000
K2 0.7194 0.2806 0.5000
Fe1 0.3525 0.6475 0.5000
Fe2 0.3548 0.6452 0.0000
Se1 0.2694 0.3309 0.6471
Se2 0.6691 0.7306 0.3529
S1 0.0691 0.5698 0.1568
S2 0.4302 0.9309 0.8432

Computed properties:
- M_tot: 0.6942 μB/atom
- Energy of formation: -0.8229 eV per atom
- SG: C2

# 6
Computed, not measured: Pb10SCl4O12 after structural relaxation at the PBE level of DFT.

Cell lengths 9.0667, 10.8436, 13.1451 Å; angles 66.13, 84.65, 77.45 degrees
Fractional coordinates of all 54 atoms:
Pb1 0.0022 0.3451 0.4741
Pb2 0.1200 0.8772 0.2124
Pb3 0.1429 0.2275 0.2460
Pb4 0.1500 0.7598 0.9677
Pb5 0.1788 0.4312 0.9398
Pb6 0.2839 0.3275 0.7048
Pb7 0.3501 0.5033 0.4066
Pb8 0.3496 0.8309 0.4429
Pb9 0.4458 0.0666 0.1150
Pb10 0.4541 0.4168 0.1477
Pb11 0.5459 0.5832 0.8523
Pb12 0.5542 0.9334 0.8850
Pb13 0.6504 0.1691 0.5571
Pb14 0.6499 0.4967 0.5934
Pb15 0.7161 0.6725 0.2952
Pb16 0.8212 0.5688 0.0602
Pb17 0.8500 0.2402 0.0323
Pb18 0.8571 0.7725 0.7540
Pb19 0.8800 0.1228 0.7876
Pb20 0.9978 0.6549 0.5259
S1 0.2277 0.9832 0.6920
S2 0.7723 0.0168 0.3080
Cl1 0.0612 0.5928 0.2008
Cl2 0.1953 0.0956 0.9770
Cl3 0.2797 0.6117 0.6757
Cl4 0.4228 0.7332 0.1452
Cl5 0.5772 0.2668 0.8548
Cl6 0.7203 0.3883 0.3243
Cl7 0.8047 0.9044 0.0230
Cl8 0.9388 0.4072 0.7992
O1 0.0021 0.6460 0.9183
O2 0.0854 0.9343 0.7514
O3 0.1514 0.4473 0.5405
O4 0.1827 0.7271 0.3948
O5 0.2070 0.1322 0.6733
O6 0.2468 0.9693 0.5850
O7 0.2717 0.9982 0.2553
O8 0.3322 0.2766 0.1139
O9 0.3351 0.3498 0.3200
O10 0.3354 0.5715 0.9778
O11 0.3574 0.8987 0.7688
O12 0.4804 0.3578 0.5737
O13 0.5196 0.6422 0.4263
O14 0.6426 0.1013 0.2312
O15 0.6646 0.4285 0.0222
O16 0.6649 0.6502 0.6800
O17 0.6678 0.7234 0.8861
O18 0.7283 0.0018 0.7447
O19 0.7532 0.0307 0.4150
O20 0.7930 0.8678 0.3267
O21 0.8173 0.2729 0.6052
O22 0.8486 0.5527 0.4595
O23 0.9146 0.0657 0.2486
O24 0.9979 0.3540 0.0817

Computed properties:
- M_tot: 0.0000 μB/atom
- Energy of formation: -1.4605 eV per atom
- SG: P-1

# 7
Computed, not measured: Fe3Pt after structural relaxation at the PBE level of DFT.

Cell lengths 3.7509, 3.7509, 3.7509 Å; angles 90.00, 90.00, 90.00 degrees
Fractional coordinates of all 4 atoms:
Fe1 0.0000 0.0000 0.5000
Fe2 0.0000 0.5000 0.0000
Fe3 0.5000 0.0000 0.0000
Pt1 0.5000 0.5000 0.5000

Computed properties:
- M_tot: 2.0964 μB/atom
- Energy of formation: -0.0729 eV per atom
- SG: Pm-3m

# 8
Computed, not measured: La3BeBiS7 after structural relaxation at the PBE level of DFT.

Cell lengths 10.3117, 10.3117, 6.2803 Å; angles 90.00, 90.00, 120.00 degrees
Fractional coordinates of all 24 atoms:
La1 0.1363 0.3977 0.0000
La2 0.2614 0.8637 0.0000
La3 0.3977 0.2614 0.5000
La4 0.6023 0.7386 0.0000
La5 0.7386 0.1363 0.5000
La6 0.8637 0.6023 0.5000
Be1 0.3333 0.6667 0.4123
Be2 0.6667 0.3333 0.9123
Bi1 0.0000 0.0000 0.2626
Bi2 0.0000 0.0000 0.7626
S1 0.0870 0.2549 0.5292
S2 0.1173 0.5967 0.2802
S3 0.1679 0.9130 0.5292
S4 0.2549 0.1679 0.0292
S5 0.3333 0.6667 0.7601
S6 0.4033 0.5206 0.2802
S7 0.4794 0.8827 0.2802
S8 0.5206 0.1173 0.7802
S9 0.5967 0.4794 0.7802
S10 0.6667 0.3333 0.2601
S11 0.7451 0.8321 0.5292
S12 0.8321 0.0870 0.0292
S13 0.8827 0.4033 0.7802
S14 0.9130 0.7451 0.0292

Computed properties:
- M_tot: 0.0000 μB/atom
- Energy of formation: -1.7987 eV per atom
- SG: P6_3

# 9
Computed, not measured: SiHg4Se6 after structural relaxation at the PBE level of DFT.

Cell lengths 7.6324, 7.6324, 13.1842 Å; angles 107.29, 107.29, 59.92 degrees
Fractional coordinates of all 22 atoms:
Si1 0.2312 0.7688 0.5000
Si2 0.7688 0.2312 0.0000
Hg1 0.1727 0.3618 0.2547
Hg2 0.3618 0.1727 0.7547
Hg3 0.3662 0.7650 0.0880
Hg4 0.6384 0.8637 0.4386
Hg5 0.7650 0.3662 0.5880
Hg6 0.8637 0.6384 0.9386
Hg7 0.8868 0.9887 0.2422
Hg8 0.9887 0.8868 0.7422
Se1 0.9997 0.5144 0.7492
Se2 0.0615 0.5722 0.4516
Se3 0.0625 0.0832 0.4503
Se4 0.0832 0.0625 0.9503
Se5 0.1218 0.6339 0.1291
Se6 0.3420 0.7989 0.6837
Se7 0.5144 0.9997 0.2492
Se8 0.5203 0.5703 0.4205
Se9 0.5703 0.5203 0.9205
Se10 0.5722 0.0615 0.9516
Se11 0.6339 0.1218 0.6291
Se12 0.7989 0.3420 0.1837

Computed properties:
- M_tot: 0.0001 μB/atom
- Energy of formation: -0.5133 eV per atom
- SG: Cc

# 10
Computed, not measured: AlPO4 after structural relaxation at the PBE level of DFT.

Cell lengths 5.3360, 5.3360, 8.7148 Å; angles 90.00, 90.00, 120.00 degrees
Fractional coordinates of all 12 atoms:
Al1 0.3333 0.6667 0.0000
Al2 0.6667 0.3333 0.5000
P1 0.3333 0.6667 0.3749
P2 0.6667 0.3333 0.8749
O1 0.0213 0.5107 0.4334
O2 0.3333 0.6667 0.1995
O3 0.4893 0.5107 0.4334
O4 0.4893 0.9787 0.4334
O5 0.5107 0.0213 0.9334
O6 0.5107 0.4893 0.9334
O7 0.6667 0.3333 0.6995
O8 0.9787 0.4893 0.9334

Computed properties:
- Maximum piezoelectric response: 0.4 C/m²
- Energy of formation: -3.1101 eV per atom
- SG: P6_3mc

# 11
Computed, not measured: Cs2InAuCl6 after structural relaxation at the PBE level of DFT.

Cell lengths 7.5307, 7.5307, 7.5307 Å; angles 60.00, 60.00, 60.00 degrees
Fractional coordinates of all 10 atoms:
Cs1 0.2500 0.2500 0.2500
Cs2 0.7500 0.7500 0.7500
In1 0.0000 0.0000 0.0000
Au1 0.5000 0.5000 0.5000
Cl1 0.2427 0.2427 0.7573
Cl2 0.2427 0.7573 0.2427
Cl3 0.2427 0.7573 0.7573
Cl4 0.7573 0.2427 0.2427
Cl5 0.7573 0.2427 0.7573
Cl6 0.7573 0.7573 0.2427

Computed properties:
- M_tot: 0.0001 μB/atom
- Energy of formation: -1.6163 eV per atom
- SG: Fm-3m

# 12
Computed, not measured: Sr4Ru2O9 after structural relaxation at the PBE level of DFT.

Cell lengths 9.7604, 9.7604, 8.1343 Å; angles 90.00, 90.00, 120.00 degrees
Fractional coordinates of all 45 atoms:
Sr1 0.0000 0.6557 0.0000
Sr2 0.0000 0.6736 0.5000
Sr3 0.0139 0.3348 0.2529
Sr4 0.3210 0.9861 0.2529
Sr5 0.3264 0.3264 0.5000
Sr6 0.3348 0.0139 0.7471
Sr7 0.3443 0.3443 0.0000
Sr8 0.6557 0.0000 0.0000
Sr9 0.6652 0.6790 0.2529
Sr10 0.6736 0.0000 0.5000
Sr11 0.6790 0.6652 0.7471
Sr12 0.9861 0.3210 0.7471
Ru1 0.0000 0.0000 0.3441
Ru2 0.0000 0.0000 0.6559
Ru3 0.3333 0.6667 0.0960
Ru4 0.3333 0.6667 0.4121
Ru5 0.6667 0.3333 0.5879
Ru6 0.6667 0.3333 0.9040
O1 0.0000 0.1661 0.5000
O2 0.0111 0.8361 0.7760
O3 0.1519 0.6444 0.2531
O4 0.1639 0.1751 0.7760
O5 0.1661 0.0000 0.5000
O6 0.1751 0.1639 0.2240
O7 0.1764 0.4868 0.9758
O8 0.1759 0.4951 0.5323
O9 0.3105 0.8236 0.9758
O10 0.3193 0.8241 0.5323
O11 0.3556 0.5075 0.2531
O12 0.4868 0.1764 0.0242
O13 0.4925 0.8481 0.2531
O14 0.4951 0.1759 0.4677
O15 0.5049 0.6807 0.5323
O16 0.5075 0.3556 0.7469
O17 0.5132 0.6895 0.9758
O18 0.6444 0.1519 0.7469
O19 0.6807 0.5049 0.4677
O20 0.6895 0.5132 0.0242
O21 0.8236 0.3105 0.0242
O22 0.8241 0.3193 0.4677
O23 0.8249 0.9889 0.7760
O24 0.8339 0.8339 0.5000
O25 0.8361 0.0111 0.2240
O26 0.8481 0.4925 0.7469
O27 0.9889 0.8249 0.2240

Computed properties:
- Energy of formation: -2.4508 eV per atom
- SG: P321